## Li2Ti3NbO8 (PBE-GGA)

Data for a geometry-optimized Li2Ti3NbO8 structure.

Energy above the lowest structure with this stoichiometry, meV per atom: 0
Space group: No. 166
Formation energy from the elements, meV/atom: -3083

Structure (CIF):
```
data_Li2Ti3NbO8
_chemical_formula_sum 'Li2 Ti3 Nb1 O8'
_space_group_name_H-M_alt 'P 1'
_space_group_IT_number 1
_cell_length_a 6.0490
_cell_length_b 6.0490
_cell_length_c 6.0490
_cell_angle_alpha 60.08
_cell_angle_beta 60.08
_cell_angle_gamma 60.08
loop_
_space_group_symop_operation_xyz
'x,y,z'
loop_
_atom_site_label
_atom_site_type_symbol
_atom_site_fract_x
_atom_site_fract_y
_atom_site_fract_z
_atom_site_occupancy
Li1 Li 0.1254 0.1254 0.1254 1
Li2 Li 0.8746 0.8746 0.8746 1
Ti1 Ti 0.0000 0.5000 0.5000 1
Ti2 Ti 0.5000 0.0000 0.5000 1
Ti3 Ti 0.5000 0.5000 0.0000 1
Nb1 Nb 0.5000 0.5000 0.5000 1
O1 O 0.2565 0.2565 0.7175 1
O2 O 0.2565 0.7175 0.2565 1
O3 O 0.2638 0.2638 0.2638 1
O4 O 0.2825 0.7435 0.7435 1
O5 O 0.7175 0.2565 0.2565 1
O6 O 0.7362 0.7362 0.7362 1
O7 O 0.7435 0.2825 0.7435 1
O8 O 0.7435 0.7435 0.2825 1
```

## Li2Ti3NbO8 (PBE-GGA)

Data for a geometry-optimized Li2Ti3NbO8 structure.

Energy above the lowest structure with this stoichiometry, meV per atom: 25
Space group: No. 186
Formation energy from the elements, meV/atom: -3058

Structure (CIF):
```
data_Li2Ti3NbO8
_chemical_formula_sum 'Li4 Ti6 Nb2 O16'
_space_group_name_H-M_alt 'P 1'
_space_group_IT_number 1
_cell_length_a 5.9687
_cell_length_b 5.9687
_cell_length_c 9.8466
_cell_angle_alpha 90.00
_cell_angle_beta 90.00
_cell_angle_gamma 120.00
loop_
_space_group_symop_operation_xyz
'x,y,z'
loop_
_atom_site_label
_atom_site_type_symbol
_atom_site_fract_x
_atom_site_fract_y
_atom_site_fract_z
_atom_site_occupancy
Li1 Li 0.0000 0.0000 0.0000 1
Li2 Li 0.0000 0.0000 0.5000 1
Li3 Li 0.3333 0.6667 0.4045 1
Li4 Li 0.6667 0.3333 0.9045 1
Ti1 Ti 0.1700 0.3401 0.7219 1
Ti2 Ti 0.1700 0.8300 0.7219 1
Ti3 Ti 0.3401 0.1700 0.2219 1
Ti4 Ti 0.6599 0.8300 0.7219 1
Ti5 Ti 0.8300 0.1700 0.2219 1
Ti6 Ti 0.8300 0.6599 0.2219 1
Nb1 Nb 0.3333 0.6667 0.9948 1
Nb2 Nb 0.6667 0.3333 0.4948 1
O1 O 0.0000 0.0000 0.3169 1
O2 O 0.0000 0.0000 0.8169 1
O3 O 0.0358 0.5179 0.8446 1
O4 O 0.1634 0.3267 0.1049 1
O5 O 0.1634 0.8366 0.1049 1
O6 O 0.3267 0.1634 0.6049 1
O7 O 0.3333 0.6667 0.6100 1
O8 O 0.4821 0.5179 0.8446 1
O9 O 0.4821 0.9642 0.8446 1
O10 O 0.5179 0.0358 0.3446 1
O11 O 0.5179 0.4821 0.3446 1
O12 O 0.6667 0.3333 0.1100 1
O13 O 0.6733 0.8366 0.1049 1
O14 O 0.8366 0.1634 0.6049 1
O15 O 0.8366 0.6733 0.6049 1
O16 O 0.9642 0.4821 0.3446 1
```

## LiUNbO6 (PBE-GGA)

Data for a geometry-optimized LiUNbO6 structure.

Space group: No. 14
Formation energy from the elements, meV/atom: -3215

Structure (CIF):
```
data_LiUNbO6
_chemical_formula_sum 'Li4 U4 Nb4 O24'
_space_group_name_H-M_alt 'P 1'
_space_group_IT_number 1
_cell_length_a 10.4278
_cell_length_b 6.4953
_cell_length_c 7.6245
_cell_angle_alpha 90.00
_cell_angle_beta 100.68
_cell_angle_gamma 90.00
loop_
_space_group_symop_operation_xyz
'x,y,z'
loop_
_atom_site_label
_atom_site_type_symbol
_atom_site_fract_x
_atom_site_fract_y
_atom_site_fract_z
_atom_site_occupancy
Li1 Li 0.0018 0.0024 0.3210 1
Li2 Li 0.0018 0.4976 0.8210 1
Li3 Li 0.9982 0.5024 0.1790 1
Li4 Li 0.9982 0.9976 0.6790 1
U1 U 0.3068 0.1991 0.5791 1
U2 U 0.3068 0.3009 0.0791 1
U3 U 0.6932 0.6991 0.9209 1
U4 U 0.6932 0.8009 0.4209 1
Nb1 Nb 0.2758 0.7491 0.8199 1
Nb2 Nb 0.2758 0.7509 0.3199 1
Nb3 Nb 0.7242 0.2491 0.6801 1
Nb4 Nb 0.7242 0.2509 0.1801 1
O1 O 0.0988 0.7499 0.2753 1
O2 O 0.0988 0.7501 0.7753 1
O3 O 0.1254 0.1601 0.5338 1
O4 O 0.1254 0.3399 0.0338 1
O5 O 0.2966 0.0551 0.2849 1
O6 O 0.2966 0.4449 0.7849 1
O7 O 0.3028 0.0494 0.8700 1
O8 O 0.3028 0.4506 0.3700 1
O9 O 0.3118 0.6717 0.0795 1
O10 O 0.3118 0.8283 0.5795 1
O11 O 0.4867 0.2175 0.6250 1
O12 O 0.4867 0.2825 0.1250 1
O13 O 0.5133 0.7175 0.8750 1
O14 O 0.5133 0.7825 0.3750 1
O15 O 0.6882 0.1717 0.4205 1
O16 O 0.6882 0.3283 0.9205 1
O17 O 0.6972 0.5494 0.6300 1
O18 O 0.6972 0.9506 0.1300 1
O19 O 0.7034 0.5551 0.2151 1
O20 O 0.7034 0.9449 0.7151 1
O21 O 0.8746 0.6601 0.9662 1
O22 O 0.8746 0.8399 0.4662 1
O23 O 0.9012 0.2499 0.2247 1
O24 O 0.9012 0.2501 0.7247 1
```

## Li13Nb14ZnO42 (PBE-GGA)

Data for a geometry-optimized Li13Nb14ZnO42 structure.

Space group: No. 1
Formation energy from the elements, meV/atom: -2858

Structure (CIF):
```
data_Li13Nb14ZnO42
_chemical_formula_sum 'Li13 Nb14 Zn1 O42'
_space_group_name_H-M_alt 'P 1'
_space_group_IT_number 1
_cell_length_a 9.0657
_cell_length_b 9.2738
_cell_length_c 9.8899
_cell_angle_alpha 103.61
_cell_angle_beta 98.75
_cell_angle_gamma 99.38
loop_
_space_group_symop_operation_xyz
'x,y,z'
loop_
_atom_site_label
_atom_site_type_symbol
_atom_site_fract_x
_atom_site_fract_y
_atom_site_fract_z
_atom_site_occupancy
Li1 Li 0.0000 0.0000 0.0000 1
Li2 Li 0.0712 0.7849 0.6425 1
Li3 Li 0.1422 0.5704 0.2851 1
Li4 Li 0.2128 0.3565 0.9285 1
Li5 Li 0.2848 0.1421 0.5706 1
Li6 Li 0.3566 0.9286 0.2134 1
Li7 Li 0.4276 0.7144 0.8570 1
Li8 Li 0.5004 0.4994 0.4995 1
Li9 Li 0.5712 0.2846 0.1426 1
Li10 Li 0.6428 0.0720 0.7855 1
Li11 Li 0.7144 0.8565 0.4279 1
Li12 Li 0.7856 0.6422 0.0714 1
Li13 Li 0.9281 0.2138 0.3565 1
Nb1 Nb 0.0398 0.8801 0.3604 1
Nb2 Nb 0.1157 0.6660 0.0067 1
Nb3 Nb 0.1870 0.4498 0.6465 1
Nb4 Nb 0.2530 0.2358 0.2886 1
Nb5 Nb 0.3255 0.0228 0.9325 1
Nb6 Nb 0.3951 0.8082 0.5748 1
Nb7 Nb 0.4694 0.5943 0.2214 1
Nb8 Nb 0.5365 0.3799 0.8658 1
Nb9 Nb 0.6077 0.1623 0.5021 1
Nb10 Nb 0.6822 0.9497 0.1467 1
Nb11 Nb 0.7510 0.7398 0.7937 1
Nb12 Nb 0.8251 0.5233 0.4313 1
Nb13 Nb 0.8963 0.3076 0.0751 1
Nb14 Nb 0.9667 0.0869 0.7177 1
Zn1 Zn 0.8567 0.4275 0.7157 1
O1 O 0.0075 0.7247 0.1858 1
O2 O 0.0198 0.5487 0.6003 1
O3 O 0.0244 0.3051 0.7266 1
O4 O 0.0558 0.1919 0.1702 1
O5 O 0.0634 0.4460 0.0472 1
O6 O 0.0807 0.0109 0.5786 1
O7 O 0.1512 0.2960 0.4713 1
O8 O 0.1638 0.1221 0.8847 1
O9 O 0.1697 0.8751 0.0112 1
O10 O 0.1984 0.7635 0.4556 1
O11 O 0.2073 0.0176 0.3329 1
O12 O 0.2222 0.5822 0.8648 1
O13 O 0.2943 0.8669 0.7575 1
O14 O 0.3054 0.6927 0.1697 1
O15 O 0.3136 0.4462 0.2966 1
O16 O 0.3397 0.3347 0.7409 1
O17 O 0.3507 0.5901 0.6183 1
O18 O 0.3657 0.1528 0.1502 1
O19 O 0.4375 0.4397 0.0421 1
O20 O 0.4489 0.2644 0.4565 1
O21 O 0.4572 0.0195 0.5832 1
O22 O 0.4848 0.9066 0.0274 1
O23 O 0.4924 0.1601 0.9027 1
O24 O 0.5083 0.7253 0.4362 1
O25 O 0.5788 0.0096 0.3281 1
O26 O 0.5912 0.8368 0.7414 1
O27 O 0.5991 0.5887 0.8657 1
O28 O 0.6266 0.4774 0.3121 1
O29 O 0.6350 0.7324 0.1895 1
O30 O 0.6553 0.2984 0.7238 1
O31 O 0.7243 0.5802 0.6156 1
O32 O 0.7344 0.4072 0.0270 1
O33 O 0.7426 0.1608 0.1544 1
O34 O 0.7704 0.0499 0.5991 1
O35 O 0.7785 0.3030 0.4774 1
O36 O 0.7953 0.8664 0.0062 1
O37 O 0.8650 0.1534 0.9004 1
O38 O 0.8769 0.9784 0.3133 1
O39 O 0.8847 0.7328 0.4399 1
O40 O 0.9130 0.6169 0.8828 1
O41 O 0.9214 0.8758 0.7600 1
O42 O 0.9374 0.4394 0.2939 1
```

## LiNbZnO4 (PBE-GGA)

Data for a geometry-optimized LiNbZnO4 structure.

Space group: No. 91
Formation energy from the elements, meV/atom: -2580

Structure (CIF):
```
data_LiNbZnO4
_chemical_formula_sum 'Li4 Nb4 Zn4 O16'
_space_group_name_H-M_alt 'P 1'
_space_group_IT_number 1
_cell_length_a 6.1719
_cell_length_b 6.1719
_cell_length_c 8.5052
_cell_angle_alpha 90.00
_cell_angle_beta 90.00
_cell_angle_gamma 90.00
loop_
_space_group_symop_operation_xyz
'x,y,z'
loop_
_atom_site_label
_atom_site_type_symbol
_atom_site_fract_x
_atom_site_fract_y
_atom_site_fract_z
_atom_site_occupancy
Li1 Li 0.0000 0.2190 0.0000 1
Li2 Li 0.0000 0.7810 0.5000 1
Li3 Li 0.2190 0.0000 0.7500 1
Li4 Li 0.7810 0.0000 0.2500 1
Nb1 Nb 0.2131 0.5000 0.7500 1
Nb2 Nb 0.5000 0.2131 0.0000 1
Nb3 Nb 0.5000 0.7869 0.5000 1
Nb4 Nb 0.7869 0.5000 0.2500 1
Zn1 Zn 0.2592 0.2592 0.3750 1
Zn2 Zn 0.2592 0.7408 0.1250 1
Zn3 Zn 0.7408 0.2592 0.6250 1
Zn4 Zn 0.7408 0.7408 0.8750 1
O1 O 0.0166 0.2633 0.7468 1
O2 O 0.0166 0.7367 0.7532 1
O3 O 0.2633 0.0166 0.0032 1
O4 O 0.2633 0.9834 0.4968 1
O5 O 0.2659 0.4826 0.9835 1
O6 O 0.2659 0.5174 0.5165 1
O7 O 0.4826 0.2659 0.7665 1
O8 O 0.4826 0.7341 0.7335 1
O9 O 0.5174 0.2659 0.2335 1
O10 O 0.5174 0.7341 0.2665 1
O11 O 0.7341 0.4826 0.0165 1
O12 O 0.7341 0.5174 0.4835 1
O13 O 0.7367 0.0166 0.9968 1
O14 O 0.7367 0.9834 0.5032 1
O15 O 0.9834 0.2633 0.2532 1
O16 O 0.9834 0.7367 0.2468 1
```

## Li12Nb14ZnO42 (PBE-GGA)

Data for a geometry-optimized Li12Nb14ZnO42 structure.

Space group: No. 1
Formation energy from the elements, meV/atom: -2875

Structure (CIF):
```
data_Li12Nb14ZnO42
_chemical_formula_sum 'Li12 Nb14 Zn1 O42'
_space_group_name_H-M_alt 'P 1'
_space_group_IT_number 1
_cell_length_a 9.0626
_cell_length_b 9.2763
_cell_length_c 9.8964
_cell_angle_alpha 103.62
_cell_angle_beta 98.79
_cell_angle_gamma 99.34
loop_
_space_group_symop_operation_xyz
'x,y,z'
loop_
_atom_site_label
_atom_site_type_symbol
_atom_site_fract_x
_atom_site_fract_y
_atom_site_fract_z
_atom_site_occupancy
Li1 Li 0.0000 0.0000 0.0000 1
Li2 Li 0.0702 0.7847 0.6428 1
Li3 Li 0.1410 0.5715 0.2854 1
Li4 Li 0.2143 0.3580 0.9277 1
Li5 Li 0.2855 0.1432 0.5717 1
Li6 Li 0.3583 0.9289 0.2141 1
Li7 Li 0.4285 0.7138 0.8566 1
Li8 Li 0.5720 0.2851 0.1415 1
Li9 Li 0.6428 0.0708 0.7854 1
Li10 Li 0.7857 0.6428 0.0715 1
Li11 Li 0.8587 0.4298 0.7144 1
Li12 Li 0.9295 0.2145 0.3573 1
Nb1 Nb 0.0462 0.8797 0.3598 1
Nb2 Nb 0.1122 0.6660 0.0023 1
Nb3 Nb 0.1842 0.4532 0.6443 1
Nb4 Nb 0.2557 0.2432 0.2896 1
Nb5 Nb 0.3268 0.0235 0.9323 1
Nb6 Nb 0.3982 0.8055 0.5755 1
Nb7 Nb 0.4651 0.5895 0.2164 1
Nb8 Nb 0.5403 0.3808 0.8589 1
Nb9 Nb 0.6068 0.1701 0.5057 1
Nb10 Nb 0.6832 0.9517 0.1441 1
Nb11 Nb 0.7545 0.7355 0.7867 1
Nb12 Nb 0.8192 0.5171 0.4302 1
Nb13 Nb 0.8979 0.3093 0.0748 1
Nb14 Nb 0.9728 0.0959 0.7199 1
Zn1 Zn 0.7166 0.8583 0.4296 1
O1 O 0.0087 0.7245 0.1879 1
O2 O 0.0220 0.5494 0.5990 1
O3 O 0.0273 0.3038 0.7272 1
O4 O 0.0566 0.1928 0.1722 1
O5 O 0.0640 0.4467 0.0484 1
O6 O 0.0804 0.0109 0.5809 1
O7 O 0.1523 0.2956 0.4722 1
O8 O 0.1635 0.1224 0.8862 1
O9 O 0.1710 0.8755 0.0128 1
O10 O 0.1986 0.7639 0.4573 1
O11 O 0.2067 0.0170 0.3319 1
O12 O 0.2232 0.5813 0.8666 1
O13 O 0.2937 0.8707 0.7595 1
O14 O 0.3069 0.6929 0.1710 1
O15 O 0.3091 0.4492 0.2923 1
O16 O 0.3427 0.3350 0.7433 1
O17 O 0.3451 0.5966 0.6243 1
O18 O 0.3659 0.1550 0.1529 1
O19 O 0.4369 0.4391 0.0430 1
O20 O 0.4440 0.2560 0.4535 1
O21 O 0.4572 0.0168 0.5850 1
O22 O 0.4847 0.9065 0.0282 1
O23 O 0.4926 0.1612 0.9057 1
O24 O 0.5124 0.7337 0.4360 1
O25 O 0.5823 0.0099 0.3329 1
O26 O 0.5919 0.8359 0.7426 1
O27 O 0.5998 0.5898 0.8707 1
O28 O 0.6298 0.4779 0.3068 1
O29 O 0.6350 0.7327 0.1936 1
O30 O 0.6529 0.2948 0.7228 1
O31 O 0.7329 0.5842 0.6189 1
O32 O 0.7352 0.4068 0.0279 1
O33 O 0.7418 0.1609 0.1558 1
O34 O 0.7718 0.0451 0.5989 1
O35 O 0.7774 0.3039 0.4767 1
O36 O 0.7954 0.8686 0.0102 1
O37 O 0.8655 0.1541 0.9021 1
O38 O 0.8780 0.9774 0.3167 1
O39 O 0.8806 0.7327 0.4426 1
O40 O 0.9139 0.6216 0.8872 1
O41 O 0.9212 0.8759 0.7636 1
O42 O 0.9371 0.4396 0.2957 1
```

Question: Which of these has the lowest formation energy from the elements?
Answer: LiUNbO6